Record 1
Below is an optimized crystal structure of Mn2Se3N2O12, with properties calculated at the PBE+U level.

POSCAR file:
```
Mn2Se3N2O12
1.0
10.384 0.000 0.000
0.000 10.384 0.000
0.000 0.000 10.384
Mn Se N O
8 12 8 48
Direct
0.102 0.102 0.102 Mn
0.162 0.338 0.662 Mn
0.338 0.662 0.162 Mn
0.398 0.898 0.602 Mn
0.602 0.398 0.898 Mn
0.662 0.162 0.338 Mn
0.838 0.838 0.838 Mn
0.898 0.602 0.398 Mn
0.021 0.787 0.124 Se
0.124 0.021 0.787 Se
0.213 0.624 0.479 Se
0.287 0.376 0.979 Se
0.376 0.979 0.287 Se
0.479 0.213 0.624 Se
0.521 0.713 0.876 Se
0.624 0.479 0.213 Se
0.713 0.876 0.521 Se
0.787 0.124 0.021 Se
0.876 0.521 0.713 Se
0.979 0.287 0.376 Se
0.047 0.953 0.453 N
0.183 0.683 0.817 N
0.317 0.317 0.317 N
0.453 0.047 0.953 N
0.547 0.547 0.547 N
0.683 0.817 0.183 N
0.817 0.183 0.683 N
0.953 0.453 0.047 N
0.008 0.943 0.172 O
0.010 0.436 0.737 O
0.050 0.191 0.269 O
0.057 0.672 0.492 O
0.064 0.263 0.510 O
0.094 0.174 0.751 O
0.172 0.008 0.943 O
0.174 0.751 0.094 O
0.191 0.269 0.050 O
0.231 0.950 0.691 O
0.237 0.490 0.564 O
0.249 0.594 0.326 O
0.251 0.406 0.826 O
0.263 0.510 0.064 O
0.269 0.050 0.191 O
0.309 0.731 0.550 O
0.326 0.249 0.594 O
0.328 0.992 0.443 O
0.406 0.826 0.251 O
0.436 0.737 0.010 O
0.443 0.328 0.992 O
0.450 0.809 0.769 O
0.490 0.564 0.237 O
0.492 0.057 0.672 O
0.508 0.557 0.828 O
0.510 0.064 0.263 O
0.550 0.309 0.731 O
0.557 0.828 0.508 O
0.564 0.237 0.490 O
0.594 0.326 0.249 O
0.672 0.492 0.057 O
0.674 0.749 0.906 O
0.691 0.231 0.950 O
0.731 0.550 0.309 O
0.737 0.010 0.436 O
0.749 0.906 0.674 O
0.751 0.094 0.174 O
0.763 0.990 0.936 O
0.769 0.450 0.809 O
0.809 0.769 0.450 O
0.826 0.251 0.406 O
0.828 0.508 0.557 O
0.906 0.674 0.749 O
0.936 0.763 0.990 O
0.943 0.172 0.008 O
0.950 0.691 0.231 O
0.990 0.936 0.763 O
0.992 0.443 0.328 O
```

## Properties
As for the energy of formation from the pure elements: -0.59 eV per atom. For the total energy, the calculation gives -5.5017 eV/atom. Its space group is P2_13 (198).


Record 2
Below is an optimized crystal structure of Si2NiO6, with properties calculated at the PBE+U level.

POSCAR file:
```
Si2NiO6
1.0
4.763 -4.258 0.000
4.763 4.258 0.000
-1.875 0.000 4.976
Si Ni O
4 2 12
Direct
0.113 0.289 0.256 Si
0.289 0.113 0.756 Si
0.711 0.887 0.244 Si
0.887 0.711 0.744 Si
0.414 0.586 0.750 Ni
0.586 0.414 0.250 Ni
0.124 0.583 0.784 O
0.138 0.143 0.964 O
0.143 0.138 0.464 O
0.305 0.471 0.363 O
0.417 0.876 0.716 O
0.471 0.305 0.863 O
0.529 0.695 0.137 O
0.583 0.124 0.284 O
0.695 0.529 0.637 O
0.857 0.862 0.536 O
0.862 0.857 0.036 O
0.876 0.417 0.216 O
```

## Properties
As for the energy of formation from the pure elements: -2.23 eV per atom. For the total energy, the calculation gives -6.6375 eV/atom. Its space group is C2/c (15).


Record 3
Below is an optimized crystal structure of YW2O9, with properties calculated at the PBE+U level.

POSCAR file:
```
YW2O9
1.0
6.041 0.000 0.000
0.000 8.664 0.000
-1.440 0.000 6.664
Y W O
2 4 18
Direct
0.194 0.250 0.255 Y
0.806 0.750 0.745 Y
0.319 0.065 0.811 W
0.319 0.435 0.811 W
0.681 0.565 0.189 W
0.681 0.935 0.189 W
0.091 0.571 0.809 O
0.091 0.929 0.809 O
0.145 0.250 0.876 O
0.276 0.086 0.534 O
0.276 0.414 0.534 O
0.424 0.072 0.130 O
0.424 0.428 0.130 O
0.450 0.750 0.483 O
0.458 0.750 0.174 O
0.542 0.250 0.826 O
0.550 0.250 0.517 O
0.576 0.572 0.870 O
0.576 0.928 0.870 O
0.724 0.586 0.466 O
0.724 0.914 0.466 O
0.855 0.750 0.124 O
0.909 0.071 0.191 O
0.909 0.429 0.191 O
```

## Properties
As for the energy of formation from the pure elements: -2.12 eV per atom. For the total energy, the calculation gives -7.2777 eV/atom. Its space group is P2_1/m (11).


Record 4
Below is an optimized crystal structure of Co9Ru3O16, with properties calculated at the PBE+U level.

POSCAR file:
```
Co9Ru3O16
1.0
6.013 0.000 0.000
-0.045 10.427 0.000
-2.897 -1.644 9.929
Co Ru O
18 6 32
Direct
0.000 0.000 0.000 Co
0.000 0.500 0.000 Co
0.094 0.037 0.694 Co
0.142 0.720 0.808 Co
0.249 0.254 0.996 Co
0.252 0.756 0.504 Co
0.254 0.245 0.496 Co
0.351 0.777 0.201 Co
0.403 0.461 0.301 Co
0.500 0.000 0.500 Co
0.500 0.500 0.000 Co
0.597 0.539 0.699 Co
0.649 0.223 0.799 Co
0.746 0.755 0.504 Co
0.748 0.244 0.496 Co
0.751 0.746 0.004 Co
0.858 0.280 0.192 Co
0.906 0.963 0.306 Co
0.000 0.500 0.500 Ru
0.122 0.378 0.745 Ru
0.379 0.119 0.244 Ru
0.500 0.000 0.000 Ru
0.621 0.881 0.756 Ru
0.878 0.622 0.255 Ru
0.046 0.679 0.133 O
0.049 0.680 0.606 O
0.064 0.206 0.626 O
0.088 0.178 0.123 O
0.174 0.562 0.376 O
0.192 0.549 0.868 O
0.206 0.063 0.363 O
0.209 0.065 0.895 O
0.296 0.438 0.621 O
0.310 0.439 0.103 O
0.320 0.941 0.122 O
0.333 0.934 0.637 O
0.414 0.325 0.867 O
0.435 0.291 0.363 O
0.444 0.820 0.880 O
0.448 0.818 0.398 O
0.552 0.182 0.602 O
0.556 0.180 0.120 O
0.565 0.709 0.637 O
0.586 0.675 0.133 O
0.667 0.066 0.363 O
0.680 0.059 0.878 O
0.690 0.561 0.897 O
0.704 0.562 0.379 O
0.791 0.935 0.105 O
0.794 0.937 0.637 O
0.808 0.451 0.132 O
0.826 0.438 0.624 O
0.912 0.822 0.877 O
0.936 0.794 0.374 O
0.951 0.320 0.394 O
0.954 0.321 0.867 O
```

## Properties
As for the energy of formation from the pure elements: -0.91 eV per atom. For the total energy, the calculation gives -6.0922 eV/atom. Its space group is P-1 (2).


Record 5
Below is an optimized crystal structure of Li2VF5, with properties calculated at the PBE+U level.

POSCAR file:
```
Li2VF5
1.0
7.482 0.000 0.000
0.000 6.951 0.000
-0.082 0.000 7.818
Li V F
8 4 20
Direct
0.000 0.003 0.000 Li
0.000 0.997 0.500 Li
0.267 0.262 0.727 Li
0.267 0.738 0.227 Li
0.489 0.482 0.060 Li
0.489 0.518 0.560 Li
0.740 0.191 0.242 Li
0.740 0.809 0.742 Li
0.481 0.012 0.944 V
0.481 0.988 0.444 V
0.991 0.481 0.142 V
0.991 0.519 0.642 V
0.030 0.244 0.603 F
0.030 0.756 0.103 F
0.228 0.056 0.902 F
0.228 0.944 0.402 F
0.251 0.467 0.164 F
0.251 0.533 0.664 F
0.438 0.245 0.524 F
0.438 0.755 0.024 F
0.493 0.283 0.883 F
0.493 0.717 0.383 F
0.502 0.096 0.197 F
0.502 0.904 0.697 F
0.729 0.454 0.159 F
0.729 0.546 0.659 F
0.739 0.022 0.444 F
0.739 0.978 0.944 F
0.977 0.197 0.179 F
0.977 0.803 0.679 F
0.990 0.437 0.891 F
0.990 0.563 0.391 F
```

## Properties
As for the energy of formation from the pure elements: -3.16 eV per atom. For the total energy, the calculation gives -5.4723 eV/atom. Its space group is Pc (7).


Record 6
Below is an optimized crystal structure of MgSi2NiO6, with properties calculated at the PBE+U level.

POSCAR file:
```
MgSi2NiO6
1.0
5.273 0.000 0.000
0.000 18.474 0.000
0.000 0.000 9.034
Mg Si Ni O
8 16 8 48
Direct
0.119 0.124 0.150 Mg
0.119 0.376 0.650 Mg
0.381 0.624 0.150 Mg
0.381 0.876 0.650 Mg
0.619 0.124 0.350 Mg
0.619 0.376 0.850 Mg
0.881 0.624 0.350 Mg
0.881 0.876 0.850 Mg
0.065 0.727 0.659 Si
0.065 0.773 0.159 Si
0.219 0.026 0.837 Si
0.219 0.474 0.337 Si
0.281 0.526 0.837 Si
0.281 0.974 0.337 Si
0.435 0.227 0.659 Si
0.435 0.273 0.159 Si
0.565 0.727 0.841 Si
0.565 0.773 0.341 Si
0.719 0.026 0.663 Si
0.719 0.474 0.163 Si
0.781 0.526 0.663 Si
0.781 0.974 0.163 Si
0.935 0.227 0.841 Si
0.935 0.273 0.341 Si
0.124 0.125 0.502 Ni
0.124 0.375 0.002 Ni
0.376 0.625 0.502 Ni
0.376 0.875 0.002 Ni
0.624 0.125 0.998 Ni
0.624 0.375 0.498 Ni
0.876 0.625 0.998 Ni
0.876 0.875 0.498 Ni
0.054 0.684 0.160 O
0.054 0.816 0.660 O
0.068 0.688 0.500 O
0.068 0.812 0.000 O
0.078 0.551 0.705 O
0.078 0.949 0.205 O
0.164 0.198 0.731 O
0.164 0.302 0.231 O
0.194 0.567 0.986 O
0.194 0.933 0.486 O
0.214 0.564 0.339 O
0.214 0.936 0.839 O
0.286 0.064 0.339 O
0.286 0.436 0.839 O
0.306 0.067 0.986 O
0.306 0.433 0.486 O
0.336 0.698 0.731 O
0.336 0.802 0.231 O
0.422 0.051 0.705 O
0.422 0.449 0.205 O
0.432 0.188 0.500 O
0.432 0.312 0.000 O
0.446 0.184 0.160 O
0.446 0.316 0.660 O
0.554 0.684 0.340 O
0.554 0.816 0.840 O
0.568 0.688 0.000 O
0.568 0.812 0.500 O
0.578 0.551 0.795 O
0.578 0.949 0.295 O
0.664 0.198 0.769 O
0.664 0.302 0.269 O
0.694 0.567 0.514 O
0.694 0.933 0.014 O
0.714 0.564 0.161 O
0.714 0.936 0.661 O
0.786 0.064 0.161 O
0.786 0.436 0.661 O
0.806 0.067 0.514 O
0.806 0.433 0.014 O
0.836 0.698 0.769 O
0.836 0.802 0.269 O
0.922 0.051 0.795 O
0.922 0.449 0.295 O
0.932 0.188 0.000 O
0.932 0.312 0.500 O
0.946 0.184 0.340 O
0.946 0.316 0.840 O
```

## Properties
As for the energy of formation from the pure elements: -2.83 eV per atom. For the total energy, the calculation gives -6.9593 eV/atom. Its space group is Pbca (61).


Record 7
Below is an optimized crystal structure of MgNi4O8, with properties calculated at the PBE+U level.

POSCAR file:
```
MgNi4O8
1.0
2.969 0.000 0.000
1.482 6.496 0.000
1.481 0.019 6.503
Mg Ni O
1 4 8
Direct
0.000 0.000 0.000 Mg
0.154 0.176 0.526 Ni
0.333 0.522 0.822 Ni
0.679 0.473 0.178 Ni
0.857 0.820 0.475 Ni
0.055 0.620 0.279 O
0.327 0.315 0.040 O
0.337 0.716 0.619 O
0.365 0.960 0.318 O
0.646 0.036 0.682 O
0.674 0.280 0.382 O
0.686 0.679 0.960 O
0.956 0.376 0.721 O
```

## Properties
As for the energy of formation from the pure elements: -0.92 eV per atom. For the total energy, the calculation gives -4.6608 eV/atom. Its space group is P1 (1).


Record 8
Below is an optimized crystal structure of Li6Fe3Sb3O16, with properties calculated at the PBE+U level.

POSCAR file:
```
Li6Fe3Sb3O16
1.0
5.955 0.000 0.000
-2.945 5.253 0.000
-0.041 -0.108 9.992
Li Fe Sb O
6 3 3 16
Direct
0.000 0.000 0.000 Li
0.002 0.994 0.600 Li
0.327 0.661 0.121 Li
0.336 0.659 0.472 Li
0.641 0.341 0.602 Li
0.646 0.339 0.111 Li
0.329 0.158 0.320 Fe
0.498 0.494 0.823 Fe
0.836 0.663 0.323 Fe
0.002 0.494 0.822 Sb
0.498 0.990 0.822 Sb
0.834 0.157 0.320 Sb
0.021 0.022 0.205 O
0.152 0.848 0.416 O
0.156 0.292 0.431 O
0.176 0.816 0.935 O
0.190 0.358 0.928 O
0.336 0.654 0.711 O
0.354 0.180 0.720 O
0.505 0.023 0.211 O
0.507 0.477 0.232 O
0.638 0.805 0.927 O
0.640 0.296 0.426 O
0.660 0.333 0.928 O
0.702 0.832 0.426 O
0.808 0.632 0.718 O
0.818 0.173 0.708 O
0.966 0.490 0.218 O
```

## Properties
As for the energy of formation from the pure elements: -1.87 eV per atom. For the total energy, the calculation gives -5.8191 eV/atom. Its space group is P1 (1).


Record 9
Below is an optimized crystal structure of Ba2MgMnMoO6, with properties calculated at the PBE+U level.

POSCAR file:
```
Ba2MgMnMoO6
1.0
4.126 -5.068 0.000
4.126 5.068 0.000
-4.052 0.000 4.159
Ba Mg Mn Mo O
2 1 1 1 6
Direct
0.189 0.811 0.000 Ba
0.811 0.189 0.000 Ba
0.500 0.500 0.000 Mg
0.500 0.500 0.500 Mn
0.000 0.000 0.500 Mo
0.204 0.796 0.500 O
0.261 0.261 0.520 O
0.262 0.262 0.006 O
0.738 0.738 0.994 O
0.739 0.739 0.480 O
0.796 0.204 0.500 O
```

## Properties
As for the energy of formation from the pure elements: -2.38 eV per atom. For the total energy, the calculation gives -6.5771 eV/atom. Its space group is C2/m (12).


Record 10
Below is an optimized crystal structure of BaLaMn2O6, with properties calculated at the PBE+U level.

POSCAR file:
```
BaLaMn2O6
1.0
4.827 -2.855 0.000
4.827 2.855 0.000
-2.999 0.000 9.167
Ba La Mn O
2 2 4 12
Direct
0.239 0.761 0.500 Ba
0.761 0.239 0.000 Ba
0.026 0.473 0.754 La
0.473 0.026 0.254 La
0.135 0.618 0.125 Mn
0.384 0.868 0.876 Mn
0.618 0.135 0.625 Mn
0.868 0.384 0.376 Mn
0.008 0.468 0.235 O
0.236 0.274 0.491 O
0.274 0.236 0.991 O
0.304 0.760 0.032 O
0.457 0.503 0.756 O
0.468 0.008 0.735 O
0.503 0.457 0.256 O
0.710 0.820 0.477 O
0.760 0.304 0.532 O
0.820 0.710 0.977 O
0.966 0.998 0.747 O
0.998 0.966 0.247 O
```

## Properties
As for the energy of formation from the pure elements: -2.69 eV per atom. For the total energy, the calculation gives -7.4302 eV/atom. Its space group is Cc (9).